This record from the Materials Project describes crystalline SbICl8 at its relaxed geometry. The functional is PBE.

Values from the calculation:
ρ = 2.6 g cm⁻³
ΔH_f (0 K) = -0.962 eV per atom

The structure in CIF format:
```
data_SbICl8
_chemical_formula_sum 'Sb4 I4 Cl32'
_cell_length_a 7.424
_cell_length_b 7.424
_cell_length_c 24.943
_cell_angle_alpha 90.00
_cell_angle_beta 90.00
_cell_angle_gamma 90.00
_symmetry_space_group_name_H-M 'P 41'
_symmetry_Int_Tables_number 76
_symmetry_space_group_name_Hall 'P 4w'
loop_
_atom_site_label
_atom_site_fract_x
_atom_site_fract_y
_atom_site_fract_z
Sb1 0.005 0.229 0.000
I1 0.138 0.765 0.121
Cl1 0.052 0.812 0.693
Cl2 0.063 0.910 0.295
Cl3 0.073 0.496 0.952
Cl4 0.165 0.259 0.686
Cl5 0.217 0.624 0.553
Cl6 0.221 0.390 0.313
Cl7 0.236 0.269 0.064
Cl8 0.292 0.586 0.185
```

=====

This record from the Materials Project describes crystalline SnICl at its relaxed geometry. The functional is PBE.

Values from the calculation:
ρ = 4.4 g cm⁻³
ΔH_f (0 K) = -0.948 eV per atom

The structure in CIF format:
```
data_SnICl
_chemical_formula_sum 'Sn4 I4 Cl4'
_cell_length_a 9.015
_cell_length_b 4.432
_cell_length_c 10.510
_cell_angle_alpha 90.00
_cell_angle_beta 90.00
_cell_angle_gamma 90.00
_symmetry_space_group_name_H-M 'P n m a'
_symmetry_Int_Tables_number 62
_symmetry_space_group_name_Hall '-P 2ac 2n'
loop_
_atom_site_label
_atom_site_fract_x
_atom_site_fract_y
_atom_site_fract_z
Sn1 0.135 0.250 0.145
I1 0.017 0.750 0.324
Cl1 0.137 0.750 0.947
```

=====

This record from the Materials Project describes crystalline InCl at its relaxed geometry. The functional is PBE.

Values from the calculation:
ρ = 4.0 g cm⁻³
ΔH_f (0 K) = -1.121 eV per atom

The structure in CIF format:
```
data_InCl
_chemical_formula_sum 'In32 Cl32'
_cell_length_a 12.551
_cell_length_b 12.551
_cell_length_c 12.551
_cell_angle_alpha 90.00
_cell_angle_beta 90.00
_cell_angle_gamma 90.00
_symmetry_space_group_name_H-M 'P 21 3'
_symmetry_Int_Tables_number 198
_symmetry_space_group_name_Hall 'P 2ac 2ab 3'
loop_
_atom_site_label
_atom_site_fract_x
_atom_site_fract_y
_atom_site_fract_z
In1 0.026 0.252 0.223
In2 0.028 0.245 0.723
In3 0.030 0.970 0.470
In4 0.033 0.467 0.533
Cl1 0.004 0.699 0.551
Cl2 0.011 0.699 0.055
Cl3 0.201 0.701 0.799
Cl4 0.206 0.794 0.294
```

=====

This record from the Materials Project describes crystalline In5Cl9 at its relaxed geometry. The functional is PBE.

Values from the calculation:
ρ = 3.6 g cm⁻³
ΔH_f (0 K) = -1.357 eV per atom

The structure in CIF format:
```
data_In5Cl9
_chemical_formula_sum 'In30 Cl54'
_cell_length_a 12.5069
_cell_length_b 12.5069
_cell_length_c 18.4150
_cell_angle_alpha 90.00
_cell_angle_beta 90.00
_cell_angle_gamma 120.00
_symmetry_space_group_name_H-M 'R -3 c'
_symmetry_Int_Tables_number 167
_symmetry_space_group_name_Hall '-R 3 2"c'
loop_
_atom_site_label
_atom_site_fract_x
_atom_site_fract_y
_atom_site_fract_z
In1 0.0000 0.0000 0.1517
In2 0.0000 0.3301 0.2500
Cl1 0.0000 0.1569 0.7500
Cl2 0.0078 0.1795 0.4082
```

=====

This record from the Materials Project describes crystalline InCl at its relaxed geometry. The functional is PBE.

Values from the calculation:
ρ = 4.0 g cm⁻³
ΔH_f (0 K) = -1.119 eV per atom

The structure in CIF format:
```
data_InCl
_chemical_formula_sum 'In4 Cl4'
_cell_length_a 4.422
_cell_length_b 12.432
_cell_length_c 4.518
_cell_angle_alpha 90.00
_cell_angle_beta 90.00
_cell_angle_gamma 90.00
_symmetry_space_group_name_H-M 'C m c m'
_symmetry_Int_Tables_number 63
_symmetry_space_group_name_Hall '-C 2c 2'
loop_
_atom_site_label
_atom_site_fract_x
_atom_site_fract_y
_atom_site_fract_z
In1 0.000 0.114 0.250
Cl1 0.000 0.345 0.250
```

=====

This record from the Materials Project describes crystalline InCl at its relaxed geometry. The functional is PBE.

Values from the calculation:
ρ = 4.0 g cm⁻³
piezoelectric modulus e_max = 1.4 C/m²
ΔH_f (0 K) = -1.119 eV per atom

The structure in CIF format:
```
data_InCl
_chemical_formula_sum 'In4 Cl4'
_cell_length_a 4.411
_cell_length_b 12.440
_cell_length_c 4.544
_cell_angle_alpha 90.00
_cell_angle_beta 90.00
_cell_angle_gamma 90.00
_symmetry_space_group_name_H-M 'C m c 21'
_symmetry_Int_Tables_number 36
_symmetry_space_group_name_Hall 'C 2c -2'
loop_
_atom_site_label
_atom_site_fract_x
_atom_site_fract_y
_atom_site_fract_z
In1 0.000 0.114 0.000
Cl1 0.000 0.344 0.016
```

=====

This record from the Materials Project describes crystalline In2Cl3 at its relaxed geometry. The functional is PBE.

Values from the calculation:
ρ = 3.7 g cm⁻³
ΔH_f (0 K) = -1.302 eV per atom

The structure in CIF format:
```
data_In2Cl3
_chemical_formula_sum 'In64 Cl96'
_cell_length_a 12.773
_cell_length_b 25.438
_cell_length_c 14.743
_cell_angle_alpha 90.00
_cell_angle_beta 90.00
_cell_angle_gamma 90.00
_symmetry_space_group_name_H-M 'P n m a'
_symmetry_Int_Tables_number 62
_symmetry_space_group_name_Hall '-P 2ac 2n'
loop_
_atom_site_label
_atom_site_fract_x
_atom_site_fract_y
_atom_site_fract_z
In1 0.077 0.250 0.128
In2 0.078 0.054 0.121
In3 0.080 0.655 0.173
In4 0.081 0.661 0.642
In5 0.085 0.030 0.635
In6 0.089 0.250 0.631
In7 0.232 0.159 0.893
In8 0.243 0.664 0.920
In9 0.247 0.505 0.888
Cl1 0.016 0.177 0.019
Cl2 0.058 0.250 0.458
Cl3 0.084 0.053 0.874
Cl4 0.091 0.064 0.401
Cl5 0.103 0.152 0.640
Cl6 0.104 0.250 0.809
Cl7 0.105 0.750 0.795
Cl8 0.107 0.750 0.335
Cl9 0.134 0.177 0.234
Cl10 0.161 0.569 0.775
Cl11 0.163 0.556 0.017
Cl12 0.167 0.544 0.259
Cl13 0.178 0.560 0.506
Cl14 0.212 0.750 0.100
Cl15 0.244 0.750 0.548
```

=====

This record from the Materials Project describes crystalline In7Cl9 at its relaxed geometry. The functional is PBE.

Values from the calculation:
ρ = 3.9 g cm⁻³
ΔH_f (0 K) = -1.240 eV per atom

The structure in CIF format:
```
data_In7Cl9
_chemical_formula_sum 'In28 Cl36'
_cell_length_a 12.429
_cell_length_b 12.429
_cell_length_c 12.429
_cell_angle_alpha 90.00
_cell_angle_beta 90.00
_cell_angle_gamma 90.00
_symmetry_space_group_name_H-M 'P a -3'
_symmetry_Int_Tables_number 205
_symmetry_space_group_name_Hall '-P 2ac 2ab 3'
loop_
_atom_site_label
_atom_site_fract_x
_atom_site_fract_y
_atom_site_fract_z
In1 0.000 0.000 0.000
In2 0.067 0.171 0.682
Cl1 0.000 0.000 0.500
Cl2 0.043 0.550 0.304
Cl3 0.167 0.667 0.833
```

=====

This record from the Materials Project describes crystalline KInCl3 at its relaxed geometry. The functional is PBE.

Values from the calculation:
ρ = 2.6 g cm⁻³
ΔH_f (0 K) = -1.728 eV per atom

The structure in CIF format:
```
data_KInCl3
_chemical_formula_sum 'K8 In8 Cl24'
_cell_length_a 11.045
_cell_length_b 11.045
_cell_length_c 11.045
_cell_angle_alpha 90.00
_cell_angle_beta 90.00
_cell_angle_gamma 90.00
_symmetry_space_group_name_H-M 'F m -3 m'
_symmetry_Int_Tables_number 225
_symmetry_space_group_name_Hall '-F 4 2 3'
loop_
_atom_site_label
_atom_site_fract_x
_atom_site_fract_y
_atom_site_fract_z
K1 0.250 0.250 0.250
In1 0.000 0.000 0.000
In2 0.000 0.000 0.500
Cl1 0.000 0.000 0.232
```